(i)
Here is an optimized crystal structure of Lu3Th from the Materials Project database. Energies are from GGA-PBE.

Cell: 3.5382 3.5382 11.2712 Å, 90.00 90.00 120.00°
With the nearest neighbours (Å) after each atom.
Fractional positions:
1 Lu 0.0000 0.0000 0.0000  12 Lu 3.45-3.54
2 Lu 0.3333 0.6667 0.2462  9 Lu 3.45-3.54, 3 Th 3.52
3 Lu 0.3333 0.6667 0.7538  9 Lu 3.45-3.54, 3 Th 3.52
4 Th 0.0000 0.0000 0.5000  6 Lu 3.52, 6 Th 3.54

Properties
Its density is 10.3 g/cm3. The calculation puts the volume at 122.2 Å³ per cell.

---

(ii)
Here is an optimized crystal structure of Lu3Th from the Materials Project database. Energies are from GGA-PBE.

Cell: 4.9892 4.9892 9.7704 Å, 90.00 90.00 90.00°
With the nearest neighbours (Å) after each atom.
Fractional positions:
1 Lu 0.0000 0.0000 0.0000  8 Lu 3.49, 4 Th 3.53
2 Lu 0.0000 0.5000 0.2500  4 Th 3.49, 8 Lu 3.49-3.53
3 Lu 0.0000 0.5000 0.7500  4 Th 3.49, 8 Lu 3.49-3.53
4 Lu 0.5000 0.0000 0.2500  4 Th 3.49, 8 Lu 3.49-3.53
5 Lu 0.5000 0.0000 0.7500  4 Th 3.49, 8 Lu 3.49-3.53
6 Lu 0.5000 0.5000 0.5000  8 Lu 3.49, 4 Th 3.53
7 Th 0.0000 0.0000 0.5000  12 Lu 3.49-3.53
8 Th 0.5000 0.5000 0.0000  12 Lu 3.49-3.53

Properties
Its density is 10.3 g/cm3. The calculation puts the volume at 243.2 Å³ per cell.

---

Which of them is the most stable, and which is the least stable? (i) and (ii), in that order.

---

(i)
Here is an optimized crystal structure of Lu2Zn17 from the Materials Project database. Energies are from GGA-PBE.

Cell: 8.9899 8.9899 8.6499 Å, 90.00 90.00 120.26°
With the nearest neighbours (Å) after each atom.
Fractional positions:
1 Lu 0.0006 0.9994 0.7500  18 Zn 3.10-3.41
2 Lu 0.3338 0.6662 0.2500  14 Zn 3.00-3.36
3 Lu 0.6662 0.3338 0.7500  14 Zn 3.00-3.36
4 Lu 0.9994 0.0006 0.2500  18 Zn 3.10-3.41
5 Zn 0.0000 0.5000 0.0000  10 Zn 2.58-2.72
6 Zn 0.0000 0.5000 0.5000  10 Zn 2.58-2.72
7 Zn 0.0282 0.3586 0.7500  8 Zn 2.58-2.79
8 Zn 0.0287 0.6694 0.7500  8 Zn 2.58-2.79
9 Zn 0.1618 0.3237 0.0156  8 Zn 2.53-2.68
10 Zn 0.1618 0.3237 0.4844  8 Zn 2.53-2.68
11 Zn 0.1620 0.8380 0.0157  8 Zn 2.53-2.68
12 Zn 0.1620 0.8380 0.4843  8 Zn 2.53-2.68
13 Zn 0.3237 0.1618 0.5156  8 Zn 2.53-2.68
14 Zn 0.3237 0.1618 0.9844  8 Zn 2.53-2.68
15 Zn 0.3302 0.3591 0.7500  8 Zn 2.58-2.78
16 Zn 0.3306 0.9713 0.7500  8 Zn 2.58-2.79
17 Zn 0.3332 0.6668 0.5974  7 Zn 2.64-2.84
18 Zn 0.3332 0.6668 0.9026  7 Zn 2.64-2.84
19 Zn 0.3586 0.0282 0.2500  8 Zn 2.58-2.79
20 Zn 0.3591 0.3302 0.2500  8 Zn 2.58-2.78
21 Zn 0.5000 0.0000 0.0000  10 Zn 2.58-2.72
22 Zn 0.5000 0.0000 0.5000  10 Zn 2.58-2.72
23 Zn 0.5000 0.5000 0.0000  10 Zn 2.58-2.73
24 Zn 0.5000 0.5000 0.5000  10 Zn 2.58-2.73
25 Zn 0.6409 0.6698 0.7500  8 Zn 2.58-2.78
26 Zn 0.6414 0.9718 0.7500  8 Zn 2.58-2.79
27 Zn 0.6668 0.3332 0.0974  7 Zn 2.64-2.84
28 Zn 0.6668 0.3332 0.4026  7 Zn 2.64-2.84
29 Zn 0.6694 0.0287 0.2500  8 Zn 2.58-2.79
30 Zn 0.6698 0.6409 0.2500  8 Zn 2.58-2.78
31 Zn 0.6763 0.8382 0.0156  8 Zn 2.53-2.68
32 Zn 0.6763 0.8382 0.4844  8 Zn 2.53-2.68
33 Zn 0.8380 0.1620 0.5157  8 Zn 2.53-2.68
34 Zn 0.8380 0.1620 0.9843  8 Zn 2.53-2.68
35 Zn 0.8382 0.6763 0.5156  8 Zn 2.53-2.68
36 Zn 0.8382 0.6763 0.9844  8 Zn 2.53-2.68
37 Zn 0.9713 0.3306 0.2500  8 Zn 2.58-2.79
38 Zn 0.9718 0.6414 0.2500  8 Zn 2.58-2.79

Properties
The value obtained for the size of the total moment is 0.04 μB per formula unit. Its density is 8.0 g/cm3. The calculation puts the volume at 603.8 Å³ per cell.

---

(ii)
Here is an optimized crystal structure of Lu2Zn17 from the Materials Project database. Energies are from GGA-PBE.

Cell: 6.7691 6.7691 6.7691 Å, 82.41 82.41 82.41°
With the nearest neighbours (Å) after each atom.
Fractional positions:
1 Lu 0.1651 0.1651 0.1651  19 Zn 3.08-3.44
2 Lu 0.8349 0.8349 0.8349  19 Zn 3.08-3.44
3 Zn 0.0000 0.5000 0.5000  10 Zn 2.58-2.72
4 Zn 0.1470 0.1470 0.6621  8 Zn 2.53-2.76
5 Zn 0.1470 0.6621 0.1470  8 Zn 2.53-2.76
6 Zn 0.2004 0.5000 0.7996  8 Zn 2.58-2.76
7 Zn 0.2004 0.7996 0.5000  8 Zn 2.58-2.76
8 Zn 0.3379 0.8530 0.8530  8 Zn 2.53-2.76
9 Zn 0.3991 0.3991 0.3991  7 Zn 2.66-2.86
10 Zn 0.5000 0.0000 0.5000  10 Zn 2.58-2.72
11 Zn 0.5000 0.2004 0.7996  8 Zn 2.58-2.76
12 Zn 0.5000 0.5000 0.0000  10 Zn 2.58-2.72
13 Zn 0.5000 0.7996 0.2004  8 Zn 2.58-2.76
14 Zn 0.6009 0.6009 0.6009  7 Zn 2.66-2.86
15 Zn 0.6621 0.1470 0.1470  8 Zn 2.53-2.76
16 Zn 0.7996 0.2004 0.5000  8 Zn 2.58-2.76
17 Zn 0.7996 0.5000 0.2004  8 Zn 2.58-2.76
18 Zn 0.8530 0.3379 0.8530  8 Zn 2.53-2.76
19 Zn 0.8530 0.8530 0.3379  8 Zn 2.53-2.76

Properties
Its density is 8.0 g/cm3. The calculation puts the volume at 302.7 Å³ per cell.

---

Which of them is the most stable, and which is the least stable? (ii) and (i), in that order.

---

(i)
Here is an optimized crystal structure of Mg14MnMo from the Materials Project database. Energies are from GGA-PBE.

Cell: 9.9672 6.2832 6.2832 Å, 59.03 90.00 90.00°
With the nearest neighbours (Å) after each atom.
Fractional positions:
1 Mg 0.0000 0.9996 0.9996  12 Mg 3.10-3.17
2 Mg 0.0000 0.0009 0.5018  12 Mg 3.09-3.21
3 Mg 0.0000 0.5000 0.5000  12 Mg 3.10-3.15
4 Mg 0.0000 0.5018 0.0009  12 Mg 3.09-3.21
5 Mg 0.2546 0.1626 0.1626  1 Mn 3.03, 11 Mg 3.05-3.21
6 Mg 0.2572 0.6611 0.6611  1 Mo 2.96, 11 Mg 3.03-3.25
7 Mg 0.2627 0.1740 0.6679  1 Mo 2.96, 1 Mn 2.96, 10 Mg 3.01-3.25
8 Mg 0.2627 0.6679 0.1740  1 Mo 2.96, 1 Mn 2.96, 10 Mg 3.01-3.25
9 Mg 0.5000 0.0001 0.5016  8 Mg 3.01-3.10, 2 Mo 3.10-3.18, 2 Mn 3.13-3.15
10 Mg 0.5000 0.5016 0.0001  8 Mg 3.01-3.10, 2 Mo 3.10-3.18, 2 Mn 3.13-3.15
11 Mg 0.7373 0.1740 0.6679  1 Mo 2.96, 1 Mn 2.96, 10 Mg 3.01-3.25
12 Mg 0.7373 0.6679 0.1740  1 Mo 2.96, 1 Mn 2.96, 10 Mg 3.01-3.25
13 Mg 0.7428 0.6611 0.6611  1 Mo 2.96, 11 Mg 3.03-3.25
14 Mg 0.7454 0.1626 0.1626  1 Mn 3.03, 11 Mg 3.05-3.21
15 Mn 0.5000 0.9997 0.9997  10 Mg 2.96-3.15, 2 Mo 3.10
16 Mo 0.5000 0.5047 0.5047  10 Mg 2.96-3.18, 2 Mn 3.10

Properties
The value obtained for the size of the total moment is 2.55 μB per formula unit. Its density is 2.4 g/cm3. The calculation puts the volume at 337.4 Å³ per cell.

---

(ii)
Here is an optimized crystal structure of Mg14MnMo from the Materials Project database. Energies are from GGA-PBE.

Cell: 6.2818 6.2818 9.8863 Å, 90.00 90.00 120.00°
With the nearest neighbours (Å) after each atom.
Fractional positions:
1 Mg 0.0000 0.0000 0.2494  12 Mg 3.07-3.14
2 Mg 0.0000 0.0000 0.7506  12 Mg 3.07-3.14
3 Mg 0.0151 0.5076 0.2462  1 Mo 2.99, 10 Mg 3.00-3.28, 1 Mn 3.05
4 Mg 0.0151 0.5076 0.7538  1 Mo 2.99, 10 Mg 3.00-3.28, 1 Mn 3.05
5 Mg 0.3349 0.1674 0.5000  10 Mg 3.08-3.16, 2 Mn 3.14
6 Mg 0.3352 0.1676 0.0000  10 Mg 3.06-3.16, 2 Mo 3.14
7 Mg 0.4924 0.5076 0.2462  1 Mo 2.99, 10 Mg 3.00-3.28, 1 Mn 3.05
8 Mg 0.4924 0.5076 0.7538  1 Mo 2.99, 10 Mg 3.00-3.28, 1 Mn 3.05
9 Mg 0.4924 0.9849 0.2462  1 Mo 2.99, 10 Mg 3.00-3.28, 1 Mn 3.05
10 Mg 0.4924 0.9849 0.7538  1 Mo 2.99, 10 Mg 3.00-3.28, 1 Mn 3.05
11 Mg 0.8324 0.1676 0.0000  10 Mg 3.06-3.16, 2 Mo 3.14
12 Mg 0.8324 0.6648 0.0000  10 Mg 3.06-3.16, 2 Mo 3.14
13 Mg 0.8326 0.1674 0.5000  10 Mg 3.08-3.16, 2 Mn 3.14
14 Mg 0.8326 0.6651 0.5000  10 Mg 3.08-3.16, 2 Mn 3.14
15 Mn 0.3333 0.6667 0.5000  12 Mg 3.05-3.14
16 Mo 0.3333 0.6667 0.0000  12 Mg 2.99-3.14

Properties
The value obtained for the size of the total moment is 4.53 μB per formula unit. Its density is 2.4 g/cm3. The calculation puts the volume at 337.9 Å³ per cell.

---

Which of them is the most stable, and which is the least stable? (i) and (ii), in that order.